Density functional theory data (r2SCAN) for crystalline LaHg at its relaxed geometry.

Geometry as POSCAR:
```
LaHg
1.0
3.898 0.000 0.000
0.000 3.898 0.000
0.000 0.000 3.898
Hg La
1 1
Direct
0.000 0.000 0.000
0.500 0.500 0.500
```

Values from the calculation:
Electronic total energy in eV/cell: -80.3
Crystal system: cubic
Size of the total moment in μB/cell: 0.3
Symmetry: Pm-3m (221)
Formation energy in eV/atom: -0.579